[1]
18
Lattice="-0.0048 1.3677 -3.7269 -3.4588 -5.4030 -1.9782 -9.9015 5.5611 2.0536" Properties=species:S:1:pos:R:3 comment="HfGePd | the Materials Project | PBE-GGA | optimized geometry" ef_ev_per_atom=-0.828 space_group="P2_1/m, No. 11" pbc="T T T"
Hf -3.0009 2.4919 -2.2533
Hf -5.5842 0.2522 -3.0718
Hf -10.2891 3.6324 0.2892
Hf -10.3642 -0.9661 -1.3982
Hf -7.7809 1.2736 -0.5797
Hf -3.0761 -2.1066 -3.9407
Ge -8.3324 3.7841 -1.7722
Ge -8.3864 0.2148 -3.0819
Ge -11.6612 1.3869 -0.5331
Ge -5.0328 -2.2583 -1.8794
Ge -4.9788 1.3110 -0.5696
Ge -1.7040 0.1389 -3.1184
Pd -9.0155 6.0624 -0.9352
Pd -7.5077 -1.7405 -1.6861
Pd -4.3496 -4.5366 -2.7163
Pd -10.0396 2.0464 -2.4076
Pd -5.8575 3.2663 -1.9654
Pd -3.3256 -0.5205 -1.2439



[2]
50
Lattice="7.9546 0.0000 0.0000 1.2294 8.1702 0.0000 2.6545 2.8795 8.5033" Properties=species:S:1:pos:R:3 comment="CeH14Cl3O7 | the Materials Project | PBE-GGA | optimized geometry" e_above_lowest_polymorph_ev_per_atom=0.000 ef_ev_per_atom=-1.425 energy_corrected_mp2020_ry_per_atom=-0.380 space_group="P-1, No. 2" pbc="T T T"
H 2.7191 1.8706 1.2942
H 6.0999 2.1238 5.2676
H 3.8377 9.8079 5.3201
H 6.8365 9.1957 6.2876
H 9.6792 2.9330 5.0352
H 5.2063 6.6430 8.2804
H 7.3028 3.5098 7.2285
H 5.7386 8.9259 3.2357
H 8.0008 1.2417 3.1832
H 9.1194 9.1790 7.2090
H 3.0060 6.0939 5.1869
H 9.7767 5.8850 6.1895
H 6.6322 4.4066 0.2229
H 8.8325 4.9558 3.3164
H 4.7100 5.9589 1.3016
H 4.4805 7.0168 6.9265
H 7.3823 6.7965 4.6880
H 7.1285 5.0908 7.2017
H 4.5357 7.5398 1.2748
H 5.9496 6.7539 4.0465
H 2.1593 8.1167 3.4681
H 7.3580 4.0329 1.5768
H 5.8889 4.2958 4.4568
H 4.4562 4.2532 3.8152
H 2.0618 5.1647 2.3138
H 1.5278 0.8631 1.6177
H 5.0020 1.8540 2.2157
H 10.3107 10.1865 6.8856
O 6.6254 10.0851 5.9232
O 2.3521 2.5318 5.6883
O 7.1717 4.7723 0.9609
O 5.1903 6.8110 1.3845
O 2.2798 1.0360 0.9860
O 4.9348 4.4510 4.6601
O 6.9037 6.5987 3.8432
O 9.5587 10.0136 7.5173
O 6.6482 4.2386 7.1188
O 2.5652 5.4073 5.7458
O 9.2733 5.6424 2.7574
O 9.4864 8.5178 2.8150
O 5.2131 0.9646 2.5801
O 4.6668 6.2774 7.5424
Ce 4.1363 3.8715 7.0061
Ce 7.7022 7.1782 1.4972
Cl 4.7702 9.5460 8.3929
Cl 8.1243 7.2912 6.7014
Cl 4.0765 7.9033 4.5867
Cl 7.7620 3.1464 3.9166
Cl 7.0683 1.5037 0.1104
Cl 3.7142 3.7585 1.8019



[3]
8
Lattice="-1.0916 1.8283 7.1042 -3.8663 -4.4339 -4.5162 2.7830 -3.8792 1.4260" Properties=species:S:1:pos:R:3 comment="SrMg6Ga | the Materials Project | PBE-GGA | optimized geometry" e_above_lowest_polymorph_ev_per_atom=0.000 ef_ev_per_atom=-0.011 space_group="Amm2, No. 38" pbc="T T T"
Mg -3.3008 -3.1575 -2.1476
Mg -2.1155 -0.4825 2.8161
Mg 0.3707 -2.1661 2.0893
Mg -1.4641 -1.1215 -0.1935
Mg -2.1875 -3.5105 3.4246
Mg -3.9005 -2.4019 1.0783
Sr -0.2540 -1.3614 5.4975
Ga -1.4140 -3.9795 0.6393